# 1
A relaxed structure of LiFePO4, computed with PBE with a Hubbard U.

* offset from the most stable computed form: 99 meV per atom
* E_form: -2382 meV per atom
* E_tot: -6.75 eV/atom

a b c (Å): 13.705 5.109 22.276
angles (deg): 90.00 125.33 90.00
Space group P2_1/c (No. 14)
Inequivalent atoms, fractional coordinates:
Li: 0.056 0.221 0.225
Li: 0.152 0.143 0.878
Li: 0.303 0.710 0.941
Li: 0.342 0.714 0.615
Fe: 0.129 0.750 0.124
Fe: 0.164 0.203 0.551
Fe: 0.384 0.243 0.377
Fe: 0.418 0.745 0.310
P: 0.078 0.700 0.456
P: 0.170 0.744 0.783
P: 0.349 0.247 0.708
P: 0.402 0.190 0.035
O: 0.038 0.131 0.584
O: 0.043 0.091 0.956
O: 0.081 0.562 0.281
O: 0.113 0.631 0.705
O: 0.144 0.712 0.420
O: 0.161 0.704 0.039
O: 0.207 0.503 0.835
O: 0.255 0.070 0.143
O: 0.285 0.591 0.311
O: 0.299 0.181 0.533
O: 0.300 0.539 0.192
O: 0.356 0.123 0.954
O: 0.374 0.146 0.281
O: 0.441 0.572 0.580
O: 0.462 0.243 0.209
O: 0.487 0.625 0.927

# 2
A relaxed structure of LiFe2P2O9, computed with PBE with a Hubbard U.

* E_form: -2237 meV per atom
* E_tot: -6.77 eV/atom

a b c (Å): 14.046 6.344 7.681
angles (deg): 90.00 90.00 90.00
Space group Pnma (No. 62)
Inequivalent atoms, fractional coordinates:
Li: 0.230 0.250 0.046
Fe: 0.000 0.000 0.000
Fe: 0.119 0.250 0.649
P: 0.065 0.750 0.647
P: 0.193 0.750 0.111
O: 0.010 0.250 0.495
O: 0.015 0.750 0.830
O: 0.047 0.250 0.858
O: 0.134 0.546 0.088
O: 0.134 0.561 0.639
O: 0.222 0.250 0.476
O: 0.250 0.250 0.785

# 3
A relaxed structure of Li5Fe4P8O28, computed with PBE with a Hubbard U.

* offset from the most stable computed form: 4 meV per atom
* E_form: -2487 meV per atom
* E_tot: -6.87 eV/atom

a b c (Å): 9.764 9.806 11.095
angles (deg): 89.96 78.42 89.98
Space group P1 (No. 1)
Inequivalent atoms, fractional coordinates:
Li: 0.000 0.000 0.000
Li: 0.023 0.598 0.573
Li: 0.202 0.811 0.514
Li: 0.259 0.117 0.498
Li: 0.434 0.619 0.095
Li: 0.470 0.618 0.592
Li: 0.500 0.923 0.000
Li: 0.525 0.312 0.576
Li: 0.703 0.097 0.519
Li: 0.736 0.493 0.094
Fe: 0.317 0.626 0.871
Fe: 0.357 0.420 0.371
Fe: 0.367 0.921 0.720
Fe: 0.405 0.137 0.213
Fe: 0.824 0.285 0.876
Fe: 0.864 0.000 0.723
Fe: 0.869 0.496 0.367
Fe: 0.907 0.783 0.215
P: 0.053 0.780 0.784
P: 0.088 0.258 0.290
P: 0.140 0.153 0.788
P: 0.176 0.633 0.304
P: 0.230 0.412 0.663
P: 0.235 0.856 0.121
P: 0.492 0.353 0.974
P: 0.496 0.915 0.427
P: 0.553 0.132 0.788
P: 0.591 0.655 0.305
P: 0.637 0.756 0.796
P: 0.674 0.280 0.308
P: 0.734 0.495 0.662
P: 0.738 0.059 0.120
P: 0.992 0.560 0.971
P: 0.994 0.996 0.428
O: 0.001 0.117 0.331
O: 0.009 0.364 0.384
O: 0.024 0.621 0.278
O: 0.051 0.770 0.650
O: 0.083 0.865 0.105
O: 0.087 0.283 0.159
O: 0.091 0.445 0.635
O: 0.137 0.974 0.457
O: 0.147 0.553 0.973
O: 0.149 0.103 0.913
O: 0.177 0.637 0.439
O: 0.202 0.787 0.813
O: 0.208 0.304 0.775
O: 0.222 0.070 0.679
O: 0.230 0.780 0.251
O: 0.237 0.234 0.326
O: 0.282 0.529 0.237
O: 0.306 0.532 0.714
O: 0.306 0.992 0.135
O: 0.331 0.768 0.023
O: 0.333 0.347 0.551
O: 0.393 0.848 0.537
O: 0.406 0.272 0.078
O: 0.422 0.034 0.373
O: 0.433 0.496 0.954
O: 0.462 0.016 0.851
O: 0.490 0.732 0.760
O: 0.492 0.275 0.846
O: 0.507 0.569 0.410
O: 0.520 0.804 0.315
O: 0.525 0.290 0.279
O: 0.549 0.141 0.654
O: 0.582 0.046 0.114
O: 0.584 0.607 0.177
O: 0.590 0.474 0.635
O: 0.626 0.779 0.930
O: 0.635 0.946 0.456
O: 0.648 0.365 0.983
O: 0.679 0.269 0.442
O: 0.707 0.124 0.812
O: 0.720 0.865 0.710
O: 0.725 0.617 0.760
O: 0.742 0.144 0.244
O: 0.747 0.670 0.322
O: 0.768 0.401 0.252
O: 0.794 0.377 0.725
O: 0.806 0.923 0.139
O: 0.827 0.135 0.012
O: 0.838 0.544 0.543
O: 0.889 0.042 0.548
O: 0.901 0.635 0.080
O: 0.923 0.423 0.954
O: 0.936 0.876 0.366
O: 0.960 0.902 0.840
O: 0.981 0.645 0.847
O: 0.982 0.170 0.769